A plane-wave DFT calculation with PBE was carried out for a geometry-optimized AuSO4 structure.

final energy: -258.7 eV per cell
formation energy: -1313 meV per atom
symmetry: Pbca (61)

Unit cell a=8.532 b=10.598 c=8.791 alpha=90.00 beta=90.00 gamma=90.00
Fractional positions:
Au  0.054  0.016  0.134
Au  0.054  0.484  0.634
Au  0.446  0.516  0.134
Au  0.446  0.984  0.634
Au  0.554  0.016  0.366
Au  0.554  0.484  0.866
Au  0.946  0.516  0.366
Au  0.946  0.984  0.866
S  0.230  0.138  0.421
S  0.230  0.362  0.921
S  0.270  0.638  0.421
S  0.270  0.862  0.921
S  0.730  0.138  0.079
S  0.730  0.362  0.579
S  0.770  0.638  0.079
S  0.770  0.862  0.579
O  0.117  0.646  0.328
O  0.117  0.854  0.828
O  0.136  0.027  0.367
O  0.136  0.473  0.867
O  0.152  0.242  0.913
O  0.152  0.258  0.413
O  0.228  0.610  0.588
O  0.228  0.890  0.088
O  0.272  0.110  0.588
O  0.272  0.390  0.088
O  0.348  0.742  0.913
O  0.348  0.758  0.413
O  0.364  0.527  0.367
O  0.364  0.973  0.867
O  0.383  0.146  0.328
O  0.383  0.354  0.828
O  0.617  0.646  0.172
O  0.617  0.854  0.672
O  0.636  0.027  0.133
O  0.636  0.473  0.633
O  0.652  0.242  0.587
O  0.652  0.258  0.087
O  0.728  0.610  0.912
O  0.728  0.890  0.412
O  0.772  0.110  0.912
O  0.772  0.390  0.412
O  0.848  0.742  0.587
O  0.848  0.758  0.087
O  0.864  0.527  0.133
O  0.864  0.973  0.633
O  0.883  0.146  0.172
O  0.883  0.354  0.672



A plane-wave DFT calculation with PBE was carried out for a geometry-optimized UCo4B4 structure.

final energy: -140.3 eV per cell
formation energy: -414 meV per atom
symmetry: P4_2/nmc (137)

Unit cell a=5.001 b=5.001 c=6.981 alpha=90.00 beta=90.00 gamma=90.00
Fractional positions:
U  0.250  0.750  0.250
U  0.750  0.250  0.750
Co  0.004  0.250  0.109
Co  0.250  0.004  0.609
Co  0.250  0.496  0.609
Co  0.496  0.250  0.109
Co  0.504  0.750  0.891
Co  0.750  0.504  0.391
Co  0.750  0.996  0.391
Co  0.996  0.750  0.891
B  0.076  0.250  0.405
B  0.250  0.076  0.905
B  0.250  0.424  0.905
B  0.424  0.250  0.405
B  0.576  0.750  0.595
B  0.750  0.576  0.095
B  0.750  0.924  0.095
B  0.924  0.750  0.595



A plane-wave DFT calculation with PBE was carried out for a geometry-optimized Zr5Si3 structure.

final energy: -62.4 eV per cell
distance to the lowest polymorph of the same formula: 0.3991 eV per atom
formation energy: -394 meV per atom
symmetry: Pm (6)

Unit cell a=6.461 b=3.723 c=7.157 alpha=90.00 beta=92.40 gamma=90.00
Fractional positions:
Zr  0.000  0.000  0.000
Zr  0.144  0.000  0.495
Zr  0.396  0.500  0.848
Zr  0.542  0.000  0.193
Zr  0.689  0.000  0.623
Si  0.222  0.500  0.199
Si  0.452  0.500  0.464
Si  0.984  0.500  0.727



A plane-wave DFT calculation with PBE was carried out for a geometry-optimized Ba2Sr3CaMg2Si4O16 structure.

final energy: -198.4 eV per cell
formation energy: -3373 meV per atom
symmetry: Pm (6)

Unit cell a=7.046 b=5.545 c=9.600 alpha=90.00 beta=90.00 gamma=90.00
Fractional positions:
Ba  0.000  0.000  0.000
Ba  0.000  0.500  0.499
Sr  0.337  0.000  0.666
Sr  0.661  0.000  0.332
Sr  0.661  0.500  0.834
Ca  0.331  0.500  0.166
Mg  0.499  0.000  0.001
Mg  0.499  0.500  0.498
Si  0.228  0.000  0.331
Si  0.228  0.500  0.835
Si  0.770  0.000  0.666
Si  0.772  0.500  0.166
O  0.000  0.000  0.333
O  0.000  0.500  0.833
O  0.004  0.500  0.166
O  0.322  0.000  0.173
O  0.322  0.239  0.409
O  0.322  0.264  0.915
O  0.322  0.500  0.676
O  0.322  0.736  0.915
O  0.322  0.761  0.409
O  0.676  0.000  0.825
O  0.676  0.238  0.587
O  0.676  0.762  0.587
O  0.677  0.263  0.087
O  0.677  0.500  0.324
O  0.677  0.737  0.087
O  0.999  0.000  0.666



A plane-wave DFT calculation with PBE was carried out for a geometry-optimized YBe2B5O11 structure.

final energy: -611.9 eV per cell
formation energy: -3093 meV per atom
symmetry: Pna2_1 (33)

Unit cell a=25.835 b=4.367 c=6.725 alpha=90.00 beta=90.00 gamma=90.00
Fractional positions:
Y  0.080  0.135  0.000
Y  0.420  0.635  0.500
Y  0.580  0.365  0.000
Y  0.920  0.865  0.500
Be  0.207  0.333  0.859
Be  0.209  0.830  0.083
Be  0.291  0.330  0.583
Be  0.293  0.833  0.359
Be  0.707  0.167  0.859
Be  0.709  0.670  0.083
Be  0.791  0.170  0.583
Be  0.793  0.667  0.359
B  0.002  0.462  0.591
B  0.057  0.974  0.571
B  0.129  0.854  0.342
B  0.130  0.626  0.672
B  0.248  0.818  0.718
B  0.252  0.318  0.218
B  0.370  0.126  0.172
B  0.371  0.354  0.842
B  0.443  0.474  0.071
B  0.498  0.962  0.091
B  0.502  0.038  0.591
B  0.557  0.526  0.571
B  0.629  0.646  0.342
B  0.630  0.874  0.672
B  0.748  0.682  0.718
B  0.752  0.182  0.218
B  0.870  0.374  0.172
B  0.871  0.146  0.842
B  0.943  0.026  0.071
B  0.998  0.538  0.091
O  0.009  0.778  0.559
O  0.043  0.277  0.651
O  0.047  0.628  0.060
O  0.083  0.007  0.378
O  0.092  0.843  0.720
O  0.146  0.420  0.810
O  0.150  0.648  0.478
O  0.150  0.914  0.160
O  0.217  0.968  0.854
O  0.220  0.469  0.085
O  0.248  0.504  0.717
O  0.252  0.004  0.217
O  0.280  0.969  0.585
O  0.283  0.468  0.354
O  0.350  0.148  0.978
O  0.350  0.414  0.660
O  0.354  0.920  0.310
O  0.408  0.343  0.220
O  0.417  0.507  0.878
O  0.453  0.128  0.560
O  0.457  0.777  0.151
O  0.491  0.278  0.059
O  0.509  0.722  0.559
O  0.543  0.223  0.651
O  0.547  0.872  0.060
O  0.583  0.493  0.378
O  0.592  0.657  0.720
O  0.646  0.080  0.810
O  0.650  0.586  0.160
O  0.650  0.852  0.478
O  0.717  0.532  0.854
O  0.720  0.031  0.085
O  0.748  0.996  0.717
O  0.752  0.496  0.217
O  0.780  0.531  0.585
O  0.783  0.032  0.354
O  0.850  0.086  0.660
O  0.850  0.352  0.978
O  0.854  0.580  0.310
O  0.908  0.157  0.220
O  0.917  0.993  0.878
O  0.953  0.372  0.560
O  0.957  0.723  0.151
O  0.991  0.222  0.059



A plane-wave DFT calculation with PBE was carried out for a geometry-optimized YErNi2 structure.

final energy: -48.8 eV per cell
formation energy: -455 meV per atom
symmetry: Pmc2_1 (26)

Unit cell a=4.142 b=5.442 c=7.118 alpha=90.00 beta=90.00 gamma=90.00
Fractional positions:
Y  0.000  0.122  0.000
Y  0.000  0.878  0.500
Er  0.500  0.379  0.360
Er  0.500  0.621  0.860
Ni  0.000  0.370  0.642
Ni  0.000  0.630  0.142
Ni  0.500  0.132  0.717
Ni  0.500  0.868  0.217



A plane-wave DFT calculation with PBE was carried out for a geometry-optimized Na3Sc2Ga2P3S3O24 structure.

final energy: -745.7 eV per cell
formation energy: -2567 meV per atom
symmetry: P1 (1)

Unit cell a=8.715 b=8.716 c=22.583 alpha=91.01 beta=90.01 gamma=119.89
Fractional positions:
Na  0.000  0.000  0.000
Na  0.001  0.017  0.499
Na  0.328  0.656  0.168
Na  0.329  0.655  0.664
Na  0.360  0.999  0.250
Na  0.642  0.999  0.749
Na  0.667  0.333  0.333
Na  0.672  0.343  0.832
Na  0.971  0.667  0.415
Sc  0.011  0.004  0.150
Sc  0.333  0.661  0.814
Sc  0.341  0.681  0.021
Sc  0.660  0.321  0.981
Sc  0.986  0.996  0.850
Sc  0.991  0.002  0.645
Ga  0.020  0.015  0.350
Ga  0.314  0.653  0.318
Ga  0.335  0.674  0.515
Ga  0.663  0.309  0.481
Ga  0.665  0.342  0.186
Ga  0.673  0.337  0.682
P  0.044  0.373  0.419
P  0.298  0.302  0.252
P  0.335  0.957  0.415
P  0.379  0.047  0.087
P  0.628  0.960  0.916
P  0.657  0.038  0.582
P  0.706  0.695  0.747
P  0.995  0.702  0.252
P  0.996  0.297  0.748
S  0.039  0.667  0.917
S  0.295  0.005  0.748
S  0.332  0.372  0.917
S  0.384  0.339  0.581
S  0.622  0.667  0.417
S  0.667  0.623  0.085
S  0.708  0.998  0.252
S  0.956  0.333  0.086
S  0.957  0.618  0.581
O  0.020  0.186  0.409
O  0.027  0.210  0.693
O  0.027  0.830  0.913
O  0.033  0.823  0.199
O  0.118  0.492  0.364
O  0.120  0.639  0.863
O  0.134  0.491  0.081
O  0.135  0.633  0.576
O  0.145  0.689  0.971
O  0.157  0.482  0.755
O  0.162  0.459  0.474
O  0.162  0.970  0.409
O  0.169  0.692  0.259
O  0.177  0.194  0.911
O  0.183  0.221  0.196
O  0.187  0.976  0.695
O  0.193  0.026  0.090
O  0.207  0.177  0.586
O  0.216  0.030  0.803
O  0.218  0.177  0.305
O  0.295  0.837  0.469
O  0.307  0.455  0.971
O  0.319  0.847  0.753
O  0.320  0.488  0.261
O  0.354  0.477  0.864
O  0.360  0.861  0.082
O  0.364  0.498  0.576
O  0.367  0.876  0.358
O  0.465  0.156  0.032
O  0.467  0.312  0.527
O  0.475  0.163  0.744
O  0.481  0.311  0.244
O  0.488  0.852  0.575
O  0.491  0.367  0.636
O  0.492  0.132  0.144
O  0.495  0.360  0.921
O  0.498  0.145  0.423
O  0.503  0.636  0.080
O  0.513  0.636  0.363
O  0.521  0.877  0.858
O  0.524  0.686  0.754
O  0.527  0.841  0.257
O  0.536  0.847  0.970
O  0.545  0.697  0.471
O  0.629  0.120  0.641
O  0.642  0.517  0.138
O  0.647  0.145  0.921
O  0.647  0.509  0.423
O  0.684  0.510  0.739
O  0.686  0.158  0.247
O  0.692  0.156  0.529
O  0.693  0.543  0.031
O  0.786  0.971  0.198
O  0.792  0.819  0.694
O  0.803  0.825  0.411
O  0.813  0.978  0.913
O  0.817  0.777  0.804
O  0.819  0.028  0.305
O  0.822  0.305  0.741
O  0.822  0.802  0.091
O  0.823  0.018  0.587
O  0.832  0.516  0.243
O  0.847  0.538  0.526
O  0.852  0.311  0.031
O  0.858  0.363  0.425
O  0.861  0.510  0.922
O  0.874  0.363  0.139
O  0.876  0.512  0.634
O  0.961  0.179  0.803
O  0.964  0.785  0.310
O  0.969  0.171  0.090
O  0.979  0.797  0.587



A plane-wave DFT calculation with PBE was carried out for a geometry-optimized LiAgO2 structure.

final energy: -35.4 eV per cell
formation energy: -1105 meV per atom
symmetry: Pmna (53)

Unit cell a=5.438 b=4.756 c=3.791 alpha=90.00 beta=90.00 gamma=90.00
Fractional positions:
Li  0.000  0.000  0.000
Li  0.500  0.000  0.500
Ag  0.000  0.500  0.500
Ag  0.500  0.500  0.000
O  0.250  0.252  0.250
O  0.250  0.748  0.750
O  0.750  0.252  0.250
O  0.750  0.748  0.750



A plane-wave DFT calculation with PBE was carried out for a geometry-optimized Ta3S2 structure.

final energy: -190.5 eV per cell
formation energy: -959 meV per atom
symmetry: Aem2 (39)

Unit cell a=7.532 b=9.148 c=9.148 alpha=144.01 beta=90.00 gamma=90.00
Fractional positions:
Ta  0.005  0.250  0.750
Ta  0.105  0.141  0.356
Ta  0.105  0.856  0.641
Ta  0.281  0.422  0.088
Ta  0.281  0.588  0.922
Ta  0.344  0.984  0.484
Ta  0.656  0.484  0.984
Ta  0.719  0.088  0.422
Ta  0.719  0.922  0.588
Ta  0.895  0.356  0.141
Ta  0.895  0.641  0.856
Ta  0.995  0.750  0.250
S  0.172  0.164  0.083
S  0.172  0.583  0.664
S  0.416  0.009  0.242
S  0.416  0.742  0.509
S  0.584  0.242  0.009
S  0.584  0.509  0.742
S  0.828  0.083  0.164
S  0.828  0.664  0.583



A plane-wave DFT calculation with PBE was carried out for a geometry-optimized ReNCl4 structure.

final energy: -30.6 eV per cell
distance to the lowest polymorph of the same formula: 0.0000 eV per atom
piezoelectric modulus e_max: 0.444 C/m²
formation energy: -820 meV per atom
symmetry: I4 (79)

Unit cell a=6.554 b=6.554 c=6.554 alpha=95.63 beta=95.63 gamma=143.49
Fractional positions:
Re  0.000  0.000  0.000
N  0.412  0.412  0.000
Cl  0.164  0.846  0.182
Cl  0.664  0.982  0.818
Cl  0.846  0.664  0.682
Cl  0.982  0.164  0.318



A plane-wave DFT calculation with PBE was carried out for a geometry-optimized Rb3SbO3 structure.

final energy: -64.3 eV per cell
formation energy: -1755 meV per atom
symmetry: C2/m (12)

Unit cell a=6.917 b=6.917 c=7.828 alpha=94.20 beta=94.20 gamma=107.92
Fractional positions:
Rb  0.194  0.806  0.000
Rb  0.221  0.779  0.500
Rb  0.323  0.323  0.847
Rb  0.677  0.677  0.153
Rb  0.779  0.221  0.500
Rb  0.806  0.194  0.000
Sb  0.262  0.262  0.328
Sb  0.738  0.738  0.672
O  0.022  0.022  0.255
O  0.202  0.475  0.199
O  0.475  0.202  0.199
O  0.525  0.798  0.801
O  0.798  0.525  0.801
O  0.978  0.978  0.745



A plane-wave DFT calculation with PBE was carried out for a geometry-optimized Na3TmCl6 structure.

final energy: -38.2 eV per cell
formation energy: -2237 meV per atom
symmetry: Fm-3m (225)

Unit cell a=7.464 b=7.464 c=7.464 alpha=60.00 beta=60.00 gamma=60.00
Fractional positions:
Na  0.000  0.000  0.000
Na  0.250  0.250  0.250
Na  0.750  0.750  0.750
Tm  0.500  0.500  0.500
Cl  0.255  0.255  0.745
Cl  0.255  0.745  0.255
Cl  0.255  0.745  0.745
Cl  0.745  0.255  0.255
Cl  0.745  0.255  0.745
Cl  0.745  0.745  0.255